Material: MgCu6OF11
Method: DFT, PBE
State: optimized geometry

abc: 5.5933 5.2529 8.1922
angles: 90.67 96.15 90.04
Last column: nearest neighbours and their distance in Å.
Sites, in units of the cell vectors:
F1 0.4422 0.3586 0.7873  3 Cu 1.96-2.18
Cu1 0.8627 0.5056 0.3024  1 O 1.82, 1 F 1.94
O1 0.5690 0.6293 0.2233  3 Cu 1.82-1.85
F2 0.3149 0.8543 0.6137  2 Cu 1.96-2.13, 1 Mg 2.00
F3 0.8645 0.6939 0.5810  1 Cu 1.96, 1 Mg 2.00
F4 0.7023 0.8399 0.9050  2 Cu 1.94-2.03
F5 0.8106 0.2730 0.0829  3 Cu 1.94-2.16
F6 0.2876 0.1751 0.0899  2 Cu 1.94-1.97
F7 0.1280 0.3310 0.4249  1 Cu 1.94, 1 Mg 1.95
F8 0.1844 0.7069 0.9398  2 Cu 1.94-2.11
Cu2 0.1449 0.5232 0.6938  4 F 1.96-2.13
Cu3 0.5061 0.5074 0.0103  1 O 1.85, 1 F 1.98
Cu4 0.9975 0.9950 0.0047  4 F 1.94
Mg1 0.0149 0.0074 0.5015  6 F 1.95-2.06
F9 0.6640 0.1145 0.4387  2 Cu 2.02-2.16, 1 Mg 2.06
Cu5 0.6175 0.0272 0.6909  5 F 1.96-2.18
F10 0.0665 0.8382 0.2921  1 Mg 1.97, 1 Cu 2.09
Cu6 0.4476 0.9450 0.2563  1 O 1.82, 2 F 1.97-2.02
F11 0.9498 0.1886 0.7162  2 Cu 2.03-2.09, 1 Mg 2.06

## Properties
Relative energy among the computed polymorphs, eV/atom: 0.018
ΔH_f (0 K), eV/atom: -1.923
Symmetry: No. 1

Material: MgCu6OF11
Method: DFT, PBE
State: optimized geometry

abc: 5.5644 4.9634 8.8131
angles: 90.84 88.44 80.10
Last column: nearest neighbours and their distance in Å.
Sites, in units of the cell vectors:
F1 0.8133 0.7063 0.6062  2 Cu 2.03-2.20, 1 Mg 2.03
Cu1 0.4108 0.4817 0.1364  1 O 1.85, 2 F 1.93-1.95
O1 0.5773 0.7244 0.2333  3 Cu 1.82-1.85
F2 0.7253 0.2657 0.0753  2 Cu 1.91-1.95
Mg1 0.5481 0.7068 0.7691  5 F 1.89-2.05
F3 0.0622 0.2305 0.4207  3 Cu 1.96-2.19
F4 0.2759 0.7325 0.9197  1 Mg 1.97, 1 Cu 1.98
F5 0.3144 0.7870 0.6019  1 Cu 1.93, 1 Mg 1.99
F6 0.5749 0.1947 0.4043  2 Cu 1.94-1.98
Cu2 0.1415 0.5034 0.6709  4 F 1.91-2.03
Cu3 0.8365 0.5018 0.3111  1 O 1.82, 1 F 1.96
F7 0.1128 0.7147 0.2575  3 Cu 2.05-2.11
F8 0.7789 0.7880 0.9090  1 Mg 1.89, 1 Cu 1.90
Cu4 0.7773 0.1514 0.5812  3 F 1.94-2.08
Cu5 0.9932 0.0086 0.9913  4 F 1.90-1.98
Cu6 0.3399 0.9631 0.3388  1 O 1.84, 3 F 1.97-2.05
F9 0.4836 0.3189 0.7235  2 Cu 2.03-2.08, 1 Mg 2.05
F10 0.9817 0.2205 0.7486  2 Cu 1.91-1.95
F11 0.2151 0.2084 0.0903  2 Cu 1.93

## Properties
Relative energy among the computed polymorphs, eV/atom: 0.043
ΔH_f (0 K), eV/atom: -1.898
Symmetry: No. 1

Material: MgCu6OF11
Method: DFT, PBE
State: optimized geometry

abc: 5.6954 4.9728 8.7835
angles: 91.08 91.08 78.44
Last column: nearest neighbours and their distance in Å.
Sites, in units of the cell vectors:
F1 0.7896 0.8257 0.9113  2 Cu 1.89-1.91
F2 0.0311 0.2175 0.7306  1 Cu 1.94, 1 Mg 1.95
Cu1 0.1911 0.5078 0.6696  4 F 1.93-2.08
F3 0.5766 0.2122 0.4071  1 Mg 1.91, 1 Cu 1.96
F4 0.2536 0.2308 0.0675  2 Cu 1.93-1.94
F5 0.7696 0.2965 0.0747  2 Cu 1.91-2.02
F6 0.5242 0.2789 0.7125  1 Mg 1.98, 2 Cu 2.04-2.19
Mg1 0.7865 0.2825 0.5690  5 F 1.91-2.08
Cu2 0.8740 0.5682 0.2752  1 O 1.79, 1 F 1.94
F7 0.3439 0.7834 0.5843  2 Cu 1.93-1.96
F8 0.1195 0.7702 0.2264  2 Cu 1.94-2.07
Cu3 0.4335 0.5183 0.1011  1 O 1.83, 2 F 1.93-2.02
F9 0.0546 0.2683 0.4095  2 Cu 2.02-2.03, 1 Mg 2.08
F10 0.2890 0.7490 0.9021  3 Cu 2.01-2.17
O1 0.5688 0.7273 0.2383  3 Cu 1.79-1.85
Cu4 0.5517 0.8420 0.7569  3 F 1.89-2.11
Cu5 0.0179 0.0388 0.9785  4 F 1.91-2.01
F11 0.8425 0.6789 0.5990  1 Mg 2.07, 2 Cu 2.08-2.20
Cu6 0.3448 0.9954 0.3332  1 O 1.85, 3 F 1.96-2.07

## Properties
Relative energy among the computed polymorphs, eV/atom: 0.049
ΔH_f (0 K), eV/atom: -1.892
Symmetry: No. 1

Material: MgCu6OF11
Method: DFT, PBE
State: optimized geometry

abc: 5.4365 4.9939 8.5705
angles: 90.75 93.73 90.95
Last column: nearest neighbours and their distance in Å.
Sites, in units of the cell vectors:
Mg1 0.4982 0.4949 0.4921  5 F 1.98-2.07, 1 O 2.14
F1 0.6940 0.1948 0.4157  1 Mg 1.98, 2 Cu 1.99-2.15
F2 0.7889 0.6728 0.6095  2 Cu 1.98-2.05, 1 Mg 2.01
Cu1 0.9065 0.4928 0.3021  1 O 1.90, 3 F 1.96-2.09
Cu2 0.4202 0.9876 0.3018  1 O 1.91, 3 F 1.94-2.11
O1 0.5961 0.6630 0.2763  3 Cu 1.90-1.96
Cu3 0.6068 0.9810 0.7097  4 F 1.96-2.06
F3 0.3135 0.7823 0.5940  1 Mg 1.99, 2 Cu 2.06-2.08
Cu4 0.4844 0.5650 0.0605  1 O 1.96, 3 F 1.96-2.07
F4 0.2110 0.3052 0.3845  1 Mg 1.98, 2 Cu 2.01-2.11
F5 0.1129 0.7970 0.2453  2 Cu 1.94-1.96
F6 0.9097 0.1911 0.7622  2 Cu 1.94-1.96
Cu5 0.0919 0.5054 0.7014  5 F 1.94-2.17
F7 0.7015 0.8045 0.9443  2 Cu 1.99
F8 0.2030 0.7196 0.9167  3 Cu 1.96-2.17
F9 0.3125 0.2179 0.0745  2 Cu 1.96-1.99
Cu6 0.0116 0.0070 0.0046  4 F 1.89-1.99
F10 0.8249 0.2792 0.0939  2 Cu 1.89-2.09
F11 0.4125 0.3112 0.6968  2 Cu 1.97-2.01, 1 Mg 2.07

## Properties
Relative energy among the computed polymorphs, eV/atom: 0.042
ΔH_f (0 K), eV/atom: -1.898
Symmetry: No. 1

Material: MgCu4O2F4
Method: DFT, PBE
State: optimized geometry

abc: 6.2840 6.6383 6.3156
angles: 60.22 78.64 119.33
Last column: nearest neighbours and their distance in Å.
Sites, in units of the cell vectors:
F1 0.8742 0.8372 0.4189  1 Mg 1.90, 1 Cu 2.00
Cu1 0.5146 0.0089 0.4945  2 F 1.97-1.99, 2 O 1.97-1.98
F2 0.0978 0.1130 0.6777  1 Mg 1.87, 1 Cu 1.98
Cu2 0.0049 0.5009 0.5006  2 O 1.86
Cu3 0.5025 0.0021 0.0027  2 O 1.86
F3 0.6848 0.3910 0.0936  1 Mg 1.87, 1 Cu 1.97
Cu4 0.4976 0.4946 0.5108  2 O 1.97-1.98, 2 F 1.98-2.00
O1 0.3943 0.7522 0.3920  4 Cu 1.86-1.98
Mg1 0.7790 0.7515 0.7748  4 F 1.87-1.90
F4 0.4209 0.6655 0.8721  1 Mg 1.90, 1 Cu 1.99
O2 0.6141 0.2507 0.6118  4 Cu 1.86-1.97

## Properties
Relative energy among the computed polymorphs, eV/atom: 0.000
ΔH_f (0 K), eV/atom: -1.756
Symmetry: No. 1

Material: MgCu6OF11
Method: DFT, PBE
State: optimized geometry

abc: 5.6732 4.7313 8.7631
angles: 89.90 90.63 94.42
Last column: nearest neighbours and their distance in Å.
Sites, in units of the cell vectors:
F1 0.7213 0.7518 0.8942  2 Cu 1.93-1.95
Mg1 0.9902 0.3179 0.2460  5 F 1.94-2.03
F2 0.9482 0.2190 0.7486  2 Cu 1.92
F3 0.4443 0.2757 0.7398  2 Cu 1.94-1.98
F4 0.0162 0.7343 0.2579  1 Mg 1.97
F5 0.2380 0.2019 0.0971  2 Cu 2.00-2.21, 1 Mg 2.03
F6 0.8946 0.7157 0.5892  3 Cu 1.95-2.12
Cu1 0.3685 0.9617 0.3136  1 O 1.81, 1 F 1.90
F7 0.2106 0.2521 0.4109  1 Cu 1.90, 1 Mg 1.94
F8 0.2148 0.7072 0.9056  2 Cu 1.92-2.10
Cu2 0.4957 0.5520 0.0298  1 O 1.87, 1 F 1.95
O1 0.5142 0.6712 0.2329  3 Cu 1.81-1.87
F9 0.7855 0.2312 0.0688  1 Mg 1.95, 1 Cu 1.98
F10 0.4143 0.7684 0.5725  2 Cu 1.97-1.98
Cu3 0.9981 0.9723 0.9715  4 F 1.92-2.00
F11 0.7261 0.2124 0.3879  1 Mg 1.99, 1 Cu 2.09
Cu4 0.6979 0.6497 0.4064  1 O 1.84, 1 F 1.95
Cu5 0.1807 0.4938 0.6669  4 F 1.92-2.11
Cu6 0.6659 0.0061 0.6793  4 F 1.92-2.12

## Properties
Relative energy among the computed polymorphs, eV/atom: 0.055
ΔH_f (0 K), eV/atom: -1.886
Symmetry: No. 1

Material: Sr2MgCuO2F2
Method: DFT, PBE
State: optimized geometry

abc: 4.0508 4.0508 9.9155
angles: 101.79 101.79 90.00
Last column: nearest neighbours and their distance in Å.
Sites, in units of the cell vectors:
Cu1 0.0000 0.0000 0.0000  4 O 2.03
F1 0.7500 0.2500 0.5000  4 Sr 2.50
Sr1 0.6732 0.6732 0.3464  4 F 2.50
O1 0.0000 0.5000 0.0000  2 Mg 2.03, 2 Cu 2.03
O2 0.5000 0.0000 0.0000  2 Mg 2.03, 2 Cu 2.03
F2 0.2500 0.7500 0.5000  4 Sr 2.50
Mg1 0.5000 0.5000 0.0000  4 O 2.03
Sr2 0.3268 0.3268 0.6536  4 F 2.50

## Properties
Relative energy among the computed polymorphs, eV/atom: 0.049
ΔH_f (0 K), eV/atom: -2.327
Symmetry: No. 139

Material: Sr2MgCuO2F2
Method: DFT, PBE
State: optimized geometry

abc: 4.0429 4.0429 8.6104
angles: 103.82 103.82 90.02
Last column: nearest neighbours and their distance in Å.
Sites, in units of the cell vectors:
Sr1 0.5935 0.5935 0.1851  4 O 2.63
F1 0.7450 0.2439 0.4856  2 Mg 2.12
O1 0.4886 0.9886 0.9782  2 Cu 2.08
Sr2 0.3995 0.3995 0.8041  4 O 2.46-2.47
F2 0.2439 0.7450 0.4856  2 Mg 2.12
O2 0.9886 0.4886 0.9782  2 Cu 2.08
Mg1 0.2059 0.2059 0.4073  4 F 2.12
Cu1 0.0185 0.0185 0.0370  4 O 2.08

## Properties
Relative energy among the computed polymorphs, eV/atom: 0.000
ΔH_f (0 K), eV/atom: -2.377
Symmetry: No. 8